No. 1
# SrSe | Materials Project | PBE | optimized geometry
# Energy with MP2020 corrections ... -4.8910 eV/atom
# Energy relative to the elements ... -2.2983 eV/atom
# Energy ... -37.2 eV per cell
data_SrSe
_cell_length_a 6.304
_cell_length_b 6.304
_cell_length_c 6.304
_cell_angle_alpha 90.00
_cell_angle_beta 90.00
_cell_angle_gamma 90.00
_symmetry_space_group_name_H-M 'F m -3 m'
_symmetry_Int_Tables_number 225
_symmetry_space_group_name_Hall '-F 4 2 3'
loop_
_atom_site_label
_atom_site_fract_x
_atom_site_fract_y
_atom_site_fract_z
Sr1 0.000 0.000 0.000
Se1 0.000 0.000 0.500

---

No. 2
# SrTb2Se4 | Materials Project | PBE | optimized geometry
# Energy with MP2020 corrections ... -5.7800 eV/atom
# Energy relative to the elements ... -2.2169 eV/atom
# Energy ... -154.3 eV per cell
data_SrTb2Se4
_cell_length_a 12.749
_cell_length_b 4.163
_cell_length_c 15.024
_cell_angle_alpha 90.00
_cell_angle_beta 90.00
_cell_angle_gamma 90.00
_symmetry_space_group_name_H-M 'P n m a'
_symmetry_Int_Tables_number 62
loop_
_symmetry_equiv_pos_as_xyz
'x,y,z'
'-x,-y,-z'
'-x+1/2,-y,z+1/2'
'x+1/2,y,-z+1/2'
'x+1/2,-y+1/2,-z+1/2'
'-x+1/2,y+1/2,z+1/2'
'-x,y+1/2,-z'
'x,-y+1/2,z'
loop_
_atom_site_label
_atom_site_fract_x
_atom_site_fract_y
_atom_site_fract_z
Sr1 0.239 0.250 0.168
Tb1 0.059 0.250 0.389
Tb2 0.087 0.250 0.904
Se1 0.033 0.750 0.785
Se2 0.092 0.250 0.577
Se3 0.128 0.750 0.034
Se4 0.202 0.750 0.327

---

No. 3
# SrY2Se4 | Materials Project | PBE | optimized geometry
# Energy with MP2020 corrections ... -6.3121 eV/atom
# Energy relative to the elements ... -2.2256 eV/atom
# Energy ... -169.2 eV per cell
data_SrY2Se4
_cell_length_a 12.761
_cell_length_b 4.153
_cell_length_c 15.012
_cell_angle_alpha 90.00
_cell_angle_beta 90.00
_cell_angle_gamma 90.00
_symmetry_space_group_name_H-M 'P n m a'
_symmetry_Int_Tables_number 62
loop_
_symmetry_equiv_pos_as_xyz
'x,y,z'
'-x,-y,-z'
'-x+1/2,-y,z+1/2'
'x+1/2,y,-z+1/2'
'x+1/2,-y+1/2,-z+1/2'
'-x+1/2,y+1/2,z+1/2'
'-x,y+1/2,-z'
'x,-y+1/2,z'
loop_
_atom_site_label
_atom_site_fract_x
_atom_site_fract_y
_atom_site_fract_z
Sr1 0.239 0.250 0.169
Y1 0.058 0.250 0.389
Y2 0.086 0.250 0.904
Se1 0.033 0.750 0.785
Se2 0.093 0.250 0.577
Se3 0.128 0.750 0.034
Se4 0.202 0.750 0.330

---

No. 4
# TaSe2 | Materials Project | PBE | optimized geometry
# Energy with MP2020 corrections ... -6.7965 eV/atom
# Energy relative to the elements ... -0.5133 eV/atom
# Energy ... -97.2 eV per cell
# M_tot ... 1.0 μB per cell
data_TaSe2
_cell_length_a 7.803
_cell_length_b 8.230
_cell_length_c 9.761
_cell_angle_alpha 96.09
_cell_angle_beta 97.78
_cell_angle_gamma 108.66
_symmetry_space_group_name_H-M 'P -1'
_symmetry_Int_Tables_number 2
loop_
_symmetry_equiv_pos_as_xyz
'x,y,z'
'-x,-y,-z'
loop_
_atom_site_label
_atom_site_fract_x
_atom_site_fract_y
_atom_site_fract_z
Ta1 0.000 0.000 0.000
Ta2 0.035 0.189 0.249
Ta3 0.349 0.862 0.868
Se1 0.041 0.899 0.245
Se2 0.159 0.720 0.608
Se3 0.227 0.327 0.081
Se4 0.406 0.857 0.125
Se5 0.467 0.645 0.761

---

No. 5
# TaSe2 | Materials Project | PBE | optimized geometry
# Energy with MP2020 corrections ... -7.4077 eV/atom
# Energy relative to the elements ... -1.1245 eV/atom
# Energy ... -276.6 eV per cell
data_TaSe2
_cell_length_a 9.180
_cell_length_b 9.805
_cell_length_c 11.502
_cell_angle_alpha 72.28
_cell_angle_beta 74.41
_cell_angle_gamma 83.40
_symmetry_space_group_name_H-M 'P -1'
_symmetry_Int_Tables_number 2
loop_
_symmetry_equiv_pos_as_xyz
'x,y,z'
'-x,-y,-z'
loop_
_atom_site_label
_atom_site_fract_x
_atom_site_fract_y
_atom_site_fract_z
Ta1 0.000 0.000 0.000
Ta2 0.069 0.214 0.717
Ta3 0.152 0.487 0.360
Ta4 0.215 0.717 0.069
Ta5 0.283 0.930 0.786
Ta6 0.359 0.151 0.487
Ta7 0.488 0.361 0.152
Se1 0.003 0.949 0.785
Se2 0.070 0.275 0.918
Se3 0.090 0.201 0.479
Se4 0.132 0.492 0.601
Se5 0.185 0.427 0.160
Se6 0.219 0.747 0.290
Se7 0.233 0.652 0.858
Se8 0.295 0.977 0.991
Se9 0.332 0.884 0.558
Se10 0.366 0.199 0.689
Se11 0.411 0.109 0.253
Se12 0.438 0.420 0.370
Se13 0.491 0.348 0.936

---

No. 6
# TaSe2 | Materials Project | PBE | optimized geometry
# Energy with MP2020 corrections ... -7.4163 eV/atom
# Energy relative to the elements ... -1.1331 eV/atom
# Energy ... -85.2 eV per cell
data_TaSe2
_cell_length_a 3.474
_cell_length_b 24.461
_cell_length_c 6.020
_cell_angle_alpha 90.00
_cell_angle_beta 90.00
_cell_angle_gamma 90.00
_symmetry_space_group_name_H-M 'F m m 2'
_symmetry_Int_Tables_number 42
_symmetry_space_group_name_Hall 'F 2 -2'
loop_
_atom_site_label
_atom_site_fract_x
_atom_site_fract_y
_atom_site_fract_z
Ta1 0.000 0.000 0.000
Se1 0.000 0.069 0.667